Entry 1:
Compound: Li5InO4
Source: the Materials Project database
Functional: PBE
Structure: relaxed

Properties
DFT total energy   -4.98 eV/atom
Formation energy   -2049 meV/atom

CIF file:
```
data_Li5InO4
_cell_length_a 9.421
_cell_length_b 9.505
_cell_length_c 9.610
_cell_angle_alpha 90.00
_cell_angle_beta 90.00
_cell_angle_gamma 90.00
_space_group_name_H-M_alt 'P 1'
_space_group_IT_number 1
loop_
_space_group_symop_operation_xyz
'x,y,z'
loop_
_atom_site_label
_atom_site_type_symbol
_atom_site_fract_x
_atom_site_fract_y
_atom_site_fract_z
_atom_site_occupancy
Li1 Li 0.657 0.119 0.102 1
Li2 Li 0.388 0.100 0.139 1
Li3 Li 0.376 0.360 0.385 1
Li4 Li 0.354 0.366 0.118 1
Li5 Li 0.875 0.892 0.164 1
Li6 Li 0.375 0.892 0.336 1
Li7 Li 0.124 0.860 0.385 1
Li8 Li 0.646 0.634 0.882 1
Li9 Li 0.157 0.119 0.398 1
Li10 Li 0.112 0.600 0.139 1
Li11 Li 0.125 0.108 0.836 1
Li12 Li 0.888 0.100 0.361 1
Li13 Li 0.854 0.366 0.382 1
Li14 Li 0.354 0.134 0.618 1
Li15 Li 0.876 0.140 0.615 1
Li16 Li 0.657 0.381 0.602 1
Li17 Li 0.624 0.640 0.615 1
Li18 Li 0.612 0.900 0.861 1
Li19 Li 0.157 0.381 0.898 1
Li20 Li 0.146 0.634 0.618 1
Li21 Li 0.125 0.392 0.336 1
Li22 Li 0.646 0.866 0.382 1
Li23 Li 0.875 0.608 0.664 1
Li24 Li 0.375 0.608 0.836 1
Li25 Li 0.625 0.392 0.164 1
Li26 Li 0.843 0.881 0.602 1
Li27 Li 0.612 0.600 0.361 1
Li28 Li 0.843 0.619 0.102 1
Li29 Li 0.146 0.866 0.118 1
Li30 Li 0.388 0.400 0.639 1
Li31 Li 0.624 0.860 0.115 1
Li32 Li 0.343 0.881 0.898 1
Li33 Li 0.124 0.640 0.885 1
Li34 Li 0.876 0.360 0.115 1
Li35 Li 0.343 0.619 0.398 1
Li36 Li 0.376 0.140 0.885 1
Li37 Li 0.888 0.400 0.861 1
Li38 Li 0.112 0.900 0.639 1
Li39 Li 0.854 0.134 0.882 1
Li40 Li 0.625 0.108 0.664 1
O1 O 0.973 0.494 0.244 1
O2 O 0.473 0.494 0.256 1
O3 O 0.504 0.760 0.971 1
O4 O 0.527 0.506 0.744 1
O5 O 0.749 0.753 0.748 1
O6 O 0.996 0.240 0.471 1
O7 O 0.751 0.253 0.748 1
O8 O 0.259 0.523 0.000 1
O9 O 0.759 0.523 0.500 1
O10 O 0.496 0.240 0.029 1
O11 O 0.473 0.006 0.756 1
O12 O 0.249 0.747 0.252 1
O13 O 0.741 0.023 0.500 1
O14 O 0.527 0.994 0.244 1
O15 O 0.751 0.247 0.248 1
O16 O 0.249 0.753 0.752 1
O17 O 0.027 0.994 0.256 1
O18 O 0.973 0.006 0.744 1
O19 O 0.759 0.977 0.000 1
O20 O 0.749 0.747 0.248 1
O21 O 0.251 0.253 0.752 1
O22 O 0.996 0.260 0.971 1
O23 O 0.504 0.740 0.471 1
O24 O 0.251 0.247 0.252 1
O25 O 0.741 0.477 0.000 1
O26 O 0.004 0.740 0.029 1
O27 O 0.259 0.977 0.500 1
O28 O 0.496 0.260 0.529 1
O29 O 0.004 0.760 0.529 1
O30 O 0.027 0.506 0.756 1
O31 O 0.241 0.023 0.000 1
O32 O 0.241 0.477 0.500 1
In1 In 0.898 0.649 0.379 1
In2 In 0.602 0.351 0.879 1
In3 In 0.602 0.149 0.379 1
In4 In 0.398 0.851 0.621 1
In5 In 0.102 0.149 0.121 1
In6 In 0.398 0.649 0.121 1
In7 In 0.898 0.851 0.879 1
In8 In 0.102 0.351 0.621 1
```

Entry 2:
Compound: Na2YF6
Source: the Materials Project database
Functional: PBE
Structure: relaxed

Properties
DFT total energy   -5.29 eV/atom
Formation energy   -3305 meV/atom

CIF file:
```
data_Na2YF6
_cell_length_a 6.082
_cell_length_b 6.082
_cell_length_c 3.605
_cell_angle_alpha 90.00
_cell_angle_beta 90.00
_cell_angle_gamma 120.00
_space_group_name_H-M_alt 'P 1'
_space_group_IT_number 1
loop_
_space_group_symop_operation_xyz
'x,y,z'
loop_
_atom_site_label
_atom_site_type_symbol
_atom_site_fract_x
_atom_site_fract_y
_atom_site_fract_z
_atom_site_occupancy
F1 F 0.249 0.000 0.500 1
F2 F 0.751 0.751 0.500 1
F3 F 0.375 0.375 0.000 1
F4 F 0.000 0.249 0.500 1
F5 F 0.000 0.625 0.000 1
F6 F 0.625 0.000 0.000 1
Na1 Na 0.333 0.667 0.500 1
Na2 Na 0.667 0.333 0.500 1
Y1 Y 0.000 0.000 0.000 1
```

Entry 3:
Compound: Al2O3
Source: the Materials Project database
Functional: PBE
Structure: relaxed

Properties
DFT total energy   -7.47 eV/atom
Formation energy   -3417 meV/atom

CIF file:
```
data_Al2O3
_cell_length_a 6.142
_cell_length_b 6.142
_cell_length_c 5.671
_cell_angle_alpha 76.39
_cell_angle_beta 76.39
_cell_angle_gamma 27.71
_space_group_name_H-M_alt 'P 1'
_space_group_IT_number 1
loop_
_space_group_symop_operation_xyz
'x,y,z'
loop_
_atom_site_label
_atom_site_type_symbol
_atom_site_fract_x
_atom_site_fract_y
_atom_site_fract_z
_atom_site_occupancy
Al1 Al 0.658 0.658 0.683 1
Al2 Al 0.342 0.342 0.317 1
Al3 Al 0.910 0.910 0.796 1
Al4 Al 0.090 0.090 0.204 1
O1 O 0.495 0.495 0.743 1
O2 O 0.826 0.826 0.567 1
O3 O 0.505 0.505 0.257 1
O4 O 0.174 0.174 0.433 1
O5 O 0.840 0.840 0.109 1
O6 O 0.160 0.160 0.891 1
```

Entry 4:
Compound: Mg6AlGa
Source: the Materials Project database
Functional: PBE
Structure: relaxed

Properties
DFT total energy   -2.06 eV/atom
Formation energy   -12 meV/atom
Total magnetization   0.00 μB/f.u.

CIF file:
```
data_Mg6AlGa
_cell_length_a 5.129
_cell_length_b 6.151
_cell_length_c 10.738
_cell_angle_alpha 90.00
_cell_angle_beta 90.00
_cell_angle_gamma 90.00
_space_group_name_H-M_alt 'P 1'
_space_group_IT_number 1
loop_
_space_group_symop_operation_xyz
'x,y,z'
loop_
_atom_site_label
_atom_site_type_symbol
_atom_site_fract_x
_atom_site_fract_y
_atom_site_fract_z
_atom_site_occupancy
Al1 Al 0.000 0.500 0.334 1
Al2 Al 0.000 0.000 0.834 1
Mg1 Mg 0.500 0.248 0.915 1
Mg2 Mg 0.500 0.748 0.415 1
Mg3 Mg 0.500 0.752 0.915 1
Mg4 Mg 0.000 0.248 0.585 1
Mg5 Mg 0.000 0.252 0.085 1
Mg6 Mg 0.000 0.752 0.585 1
Mg7 Mg 0.500 0.000 0.167 1
Mg8 Mg 0.500 0.500 0.667 1
Mg9 Mg 0.000 0.748 0.085 1
Mg10 Mg 0.500 0.252 0.415 1
Mg11 Mg 0.000 0.000 0.333 1
Mg12 Mg 0.000 0.500 0.833 1
Ga1 Ga 0.500 0.000 0.667 1
Ga2 Ga 0.500 0.500 0.167 1
```

Entry 5:
Compound: MgIO12
Source: the Materials Project database
Functional: PBE
Structure: relaxed

Properties
DFT total energy   -4.44 eV/atom
Formation energy   24 meV/atom
Total magnetization   3.00 μB/f.u.

CIF file:
```
data_MgIO12
_cell_length_a 10.023
_cell_length_b 7.008
_cell_length_c 8.911
_cell_angle_alpha 57.97
_cell_angle_beta 90.00
_cell_angle_gamma 90.00
_space_group_name_H-M_alt 'P 1'
_space_group_IT_number 1
loop_
_space_group_symop_operation_xyz
'x,y,z'
loop_
_atom_site_label
_atom_site_type_symbol
_atom_site_fract_x
_atom_site_fract_y
_atom_site_fract_z
_atom_site_occupancy
I1 I 0.702 0.538 0.734 1
I2 I 0.298 0.538 0.234 1
O1 O 0.583 0.328 0.899 1
O2 O 0.797 0.576 0.907 1
O3 O 0.375 0.392 0.698 1
O4 O 0.572 0.056 0.259 1
O5 O 0.670 0.492 0.552 1
O6 O 0.864 0.507 0.318 1
O7 O 0.136 0.507 0.818 1
O8 O 0.148 0.731 0.114 1
O9 O 0.854 0.340 0.812 1
O10 O 0.422 0.762 0.178 1
O11 O 0.348 0.174 0.787 1
O12 O 0.852 0.715 0.208 1
O13 O 0.146 0.340 0.312 1
O14 O 0.428 0.056 0.759 1
O15 O 0.625 0.392 0.198 1
O16 O 0.578 0.762 0.678 1
O17 O 0.652 0.174 0.287 1
O18 O 0.852 0.731 0.614 1
O19 O 0.729 0.799 0.175 1
O20 O 0.203 0.576 0.407 1
O21 O 0.417 0.328 0.399 1
O22 O 0.330 0.492 0.052 1
O23 O 0.148 0.715 0.708 1
O24 O 0.271 0.799 0.675 1
Mg1 Mg 0.572 0.561 0.342 1
Mg2 Mg 0.428 0.561 0.842 1
```

Entry 6:
Compound: NaSrPrBiO6
Source: the Materials Project database
Functional: PBE
Structure: relaxed

Properties
DFT total energy   -6.03 eV/atom
Formation energy   -2302 meV/atom
Total magnetization   1.00 μB/f.u.

CIF file:
```
data_NaSrPrBiO6
_cell_length_a 8.702
_cell_length_b 8.499
_cell_length_c 8.611
_cell_angle_alpha 90.00
_cell_angle_beta 90.00
_cell_angle_gamma 90.00
_space_group_name_H-M_alt 'P 1'
_space_group_IT_number 1
loop_
_space_group_symop_operation_xyz
'x,y,z'
loop_
_atom_site_label
_atom_site_type_symbol
_atom_site_fract_x
_atom_site_fract_y
_atom_site_fract_z
_atom_site_occupancy
O1 O 0.988 0.750 0.689 1
O2 O 0.716 0.835 0.514 1
O3 O 0.765 0.014 0.168 1
O4 O 0.012 0.750 0.311 1
O5 O 0.784 0.665 0.986 1
O6 O 0.765 0.986 0.832 1
O7 O 0.216 0.665 0.014 1
O8 O 0.235 0.014 0.832 1
O9 O 0.216 0.335 0.986 1
O10 O 0.265 0.486 0.668 1
O11 O 0.512 0.750 0.811 1
O12 O 0.488 0.250 0.811 1
O13 O 0.988 0.250 0.311 1
O14 O 0.735 0.514 0.668 1
O15 O 0.784 0.335 0.014 1
O16 O 0.735 0.486 0.332 1
O17 O 0.284 0.165 0.514 1
O18 O 0.716 0.165 0.486 1
O19 O 0.012 0.250 0.689 1
O20 O 0.265 0.514 0.332 1
O21 O 0.512 0.250 0.189 1
O22 O 0.488 0.750 0.189 1
O23 O 0.284 0.835 0.486 1
O24 O 0.235 0.986 0.168 1
Pr1 Pr 0.750 0.750 0.250 1
Pr2 Pr 0.250 0.750 0.750 1
Pr3 Pr 0.250 0.250 0.250 1
Pr4 Pr 0.750 0.250 0.750 1
Na1 Na 0.500 0.000 0.500 1
Na2 Na 0.500 0.500 0.500 1
Na3 Na 0.000 0.000 0.000 1
Na4 Na 0.000 0.500 0.000 1
Sr1 Sr 0.500 0.000 0.000 1
Sr2 Sr 0.500 0.500 0.000 1
Sr3 Sr 0.000 0.500 0.500 1
Sr4 Sr 0.000 0.000 0.500 1
Bi1 Bi 0.750 0.750 0.750 1
Bi2 Bi 0.750 0.250 0.250 1
Bi3 Bi 0.250 0.250 0.750 1
Bi4 Bi 0.250 0.750 0.250 1
```

- Which value of formation energy does entry 3 give?
  -3417 meV/atom

- Which value of DFT total energy does entry 2 give?
  -5.29 eV/atom